Density functional theory data (r²SCAN) for Mn3V2O8 after structural relaxation.

a = 10.8514 Å, b = 10.8514 Å, c = 10.8514 Å
α = 142.55°, β = 142.55°, γ = 54.00°
Positions (direct):
1 Mn 0.0000 0.0000 0.0000
2 Mn 0.0250 0.5250 0.5000
3 Mn 0.1317 0.1271 0.5130
4 Mn 0.2719 0.2719 0.0000
5 Mn 0.3813 0.8683 0.9954
6 Mn 0.4750 0.9750 0.5000
7 Mn 0.6141 0.6187 0.4870
8 Mn 0.7281 0.7281 0.0000
9 Mn 0.8729 0.3859 0.0046
10 V 0.0299 0.6270 0.9065
11 V 0.2500 0.7500 0.5000
12 V 0.3730 0.2795 0.4029
13 V 0.5000 0.5000 0.0000
14 V 0.7205 0.1234 0.0935
15 V 0.8766 0.9701 0.5971
16 O 0.0635 0.8263 0.6880
17 O 0.1284 0.3964 0.8193
18 O 0.1382 0.3754 0.3120
19 O 0.1737 0.8618 0.2372
20 O 0.2498 0.0056 0.6648
21 O 0.3290 0.0505 0.2757
22 O 0.3374 0.5981 0.8441
23 O 0.3408 0.5850 0.3352
24 O 0.3881 0.1822 0.1918
25 O 0.4019 0.2460 0.7393
26 O 0.4150 0.7502 0.7558
27 O 0.5067 0.6626 0.2607
28 O 0.5772 0.3091 0.1807
29 O 0.6036 0.4228 0.7319
30 O 0.6246 0.9365 0.7628
31 O 0.6909 0.8716 0.2681
32 O 0.7540 0.4933 0.1559
33 O 0.7748 0.0533 0.7243
34 O 0.8036 0.6119 0.7940
35 O 0.8178 0.0096 0.2060
36 O 0.9467 0.6710 0.7215
37 O 0.9495 0.2252 0.2785
38 O 0.9904 0.1964 0.8082
39 O 0.9944 0.6592 0.2442

Output
Space-group type ... I-4 (82)
Energy relative to the elements ... -2370 meV per atom
E above lowest polymorph ... 18.3 meV per atom